[1]
A relaxed LaMg6Sn crystal, computed with PBE-GGA.

Summary:
Polymorph energy (0 for the lowest one) (meV/atom): 0
ΔE_f (eV/atom): -0.0948
Calculated volume (A^3/atom): 25.63

Structure (POSCAR):
```
LaMg6Sn
1.0
5.254 0.000 0.000
0.000 6.530 0.000
0.000 0.000 11.952
Mg La Sn
12 2 2
Cartesian
0.000 4.926 0.926 Mg
2.627 1.646 4.997 Mg
0.000 1.604 0.926 Mg
0.000 1.661 6.902 Mg
0.000 0.000 3.999 Mg
0.000 0.000 10.023 Mg
2.627 4.883 4.997 Mg
0.000 3.265 9.975 Mg
2.627 1.619 10.973 Mg
0.000 3.265 4.047 Mg
2.627 4.911 10.973 Mg
0.000 4.869 6.902 Mg
2.627 0.000 8.012 La
2.627 3.265 2.036 La
2.627 3.265 7.950 Sn
2.627 0.000 1.974 Sn
```

---

[2]
A relaxed LaMg6Sn crystal, computed with PBE-GGA.

Summary:
Polymorph energy (0 for the lowest one) (meV/atom): 16
ΔE_f (eV/atom): -0.0783
Calculated volume (A^3/atom): 25.69

Structure (POSCAR):
```
LaMg6Sn
1.0
-3.006 -0.586 -4.131
2.419 -6.275 -0.869
-8.590 -4.262 6.855
Mg La Sn
12 2 2
Cartesian
-2.900 -0.986 -0.950 Mg
1.191 -5.129 -0.139 Mg
-5.986 -6.255 2.042 Mg
-8.807 -5.792 4.029 Mg
-3.177 -7.069 3.315 Mg
-7.601 -8.919 3.596 Mg
-2.856 -1.417 2.279 Mg
-0.092 -1.801 0.322 Mg
-4.314 -4.122 3.724 Mg
-5.941 -6.685 5.271 Mg
-4.516 -3.650 0.603 Mg
-3.302 -6.798 0.167 Mg
-1.772 -4.164 -1.320 La
-7.277 -3.158 2.542 La
-1.688 -4.575 1.877 Sn
-7.193 -3.568 5.740 Sn
```

---

[3]
A relaxed LaMg14Sn crystal, computed with PBE-GGA.

Summary:
Polymorph energy (0 for the lowest one) (meV/atom): 40
ΔE_f (eV/atom): -0.0090
Calculated volume (A^3/atom): 24.30

Structure (POSCAR):
```
LaMg14Sn
1.0
6.509 0.000 0.000
-3.255 5.637 0.000
0.000 0.000 10.594
La Mg Sn
1 14 1
Cartesian
0.000 0.000 0.000 La
-1.564 2.855 0.000 Mg
0.000 1.893 2.715 Mg
0.000 1.893 7.879 Mg
-1.615 4.691 2.715 Mg
-1.615 4.691 7.879 Mg
1.564 2.855 0.000 Mg
0.000 5.564 0.000 Mg
3.255 0.031 5.297 Mg
1.654 2.803 5.297 Mg
1.615 4.691 2.715 Mg
1.615 4.691 7.879 Mg
3.255 1.879 2.535 Mg
3.255 1.879 8.059 Mg
4.855 2.803 5.297 Mg
0.000 0.000 5.297 Sn
```

---

[4]
A relaxed SrLaMg14 crystal, computed with PBE-GGA.

Summary:
Polymorph energy (0 for the lowest one) (meV/atom): 13
ΔE_f (eV/atom): 0.0477
Calculated volume (A^3/atom): 25.84

Structure (POSCAR):
```
SrLaMg14
1.0
10.662 0.000 0.000
0.000 3.334 5.815
0.000 -3.334 5.815
Sr La Mg
1 1 14
Cartesian
0.000 0.000 0.000 Sr
0.000 0.000 5.807 La
0.000 -1.675 2.943 Mg
0.000 1.675 2.943 Mg
2.717 0.000 7.815 Mg
2.734 0.000 2.022 Mg
2.826 -1.653 4.837 Mg
2.826 1.653 4.837 Mg
5.331 -1.669 2.929 Mg
5.331 0.000 0.034 Mg
5.331 1.669 2.929 Mg
5.331 0.000 5.854 Mg
7.837 -1.653 4.837 Mg
7.837 1.653 4.837 Mg
7.929 0.000 2.022 Mg
7.946 0.000 7.815 Mg
```

---

[5]
A relaxed SrLaMg6 crystal, computed with PBE-GGA.

Summary:
Polymorph energy (0 for the lowest one) (meV/atom): 5
ΔE_f (eV/atom): 0.0641
Calculated volume (A^3/atom): 28.55

Structure (POSCAR):
```
SrLaMg6
1.0
5.453 0.000 0.000
0.000 3.593 5.828
0.000 -3.593 5.828
Sr La Mg
1 1 6
Cartesian
0.000 0.000 0.000 Sr
2.727 0.000 2.304 La
0.000 -1.774 3.044 Mg
0.000 1.774 3.044 Mg
0.000 0.000 5.919 Mg
2.727 -1.761 5.054 Mg
2.727 1.761 5.054 Mg
2.727 0.000 8.041 Mg
```

---

[6]
A relaxed SrLaMg14 crystal, computed with PBE-GGA.

Summary:
Polymorph energy (0 for the lowest one) (meV/atom): 0
ΔE_f (eV/atom): 0.0350
Calculated volume (A^3/atom): 26.20

Structure (POSCAR):
```
SrLaMg14
1.0
6.816 0.000 0.000
-3.408 5.903 0.000
0.000 0.000 10.418
Sr La Mg
1 1 14
Cartesian
0.000 0.000 0.000 Sr
0.000 0.000 5.209 La
-1.665 2.974 0.000 Mg
-1.665 2.974 5.209 Mg
0.000 2.068 2.628 Mg
0.000 2.068 7.790 Mg
-1.617 4.869 2.628 Mg
-1.617 4.869 7.790 Mg
1.665 2.974 0.000 Mg
1.665 2.974 5.209 Mg
0.000 5.858 0.000 Mg
0.000 5.858 5.209 Mg
1.617 4.869 2.628 Mg
1.617 4.869 7.790 Mg
3.408 1.968 2.615 Mg
3.408 1.968 7.803 Mg
```

---

[7]
A relaxed SrLaMg6 crystal, computed with PBE-GGA.

Summary:
Polymorph energy (0 for the lowest one) (meV/atom): 0
ΔE_f (eV/atom): 0.0594
Calculated volume (A^3/atom): 29.13

Structure (POSCAR):
```
SrLaMg6
1.0
5.393 0.000 0.000
0.000 7.450 0.000
0.000 0.000 11.601
Sr Mg La
2 12 2
Cartesian
2.696 3.725 9.721 Sr
2.696 0.000 3.921 Sr
0.000 1.908 4.906 Mg
2.696 5.550 0.979 Mg
0.000 3.725 7.489 Mg
0.000 1.817 10.707 Mg
0.000 3.725 1.815 Mg
0.000 5.633 10.707 Mg
2.696 1.825 6.779 Mg
2.696 5.625 6.779 Mg
0.000 5.542 4.906 Mg
0.000 0.000 7.616 Mg
0.000 0.000 1.689 Mg
2.696 1.900 0.979 Mg
2.696 0.000 9.806 La
2.696 3.725 4.005 La
```

---

[8]
A relaxed LaMg14Ti crystal, computed with PBE-GGA.

Summary:
Polymorph energy (0 for the lowest one) (meV/atom): 0
ΔE_f (eV/atom): 0.0626
Calculated volume (A^3/atom): 23.76

Structure (POSCAR):
```
LaMg14Ti
1.0
10.417 0.000 0.000
0.000 3.182 5.734
0.000 -3.182 5.734
La Mg Ti
1 14 1
Cartesian
0.000 0.000 0.000 La
0.000 -1.564 2.876 Mg
0.000 1.564 2.876 Mg
2.548 0.000 7.591 Mg
2.658 -1.542 4.744 Mg
2.658 1.542 4.744 Mg
2.683 0.000 1.920 Mg
5.209 0.000 5.719 Mg
5.209 -1.588 8.586 Mg
5.209 1.588 8.586 Mg
5.209 0.000 11.449 Mg
7.734 0.000 1.920 Mg
7.759 -1.542 4.744 Mg
7.759 1.542 4.744 Mg
7.869 0.000 7.591 Mg
0.000 0.000 5.670 Ti
```

---

[9]
A relaxed LaMg14Ti crystal, computed with PBE-GGA.

Summary:
Polymorph energy (0 for the lowest one) (meV/atom): 18
ΔE_f (eV/atom): 0.0803
Calculated volume (A^3/atom): 23.99

Structure (POSCAR):
```
LaMg14Ti
1.0
6.574 0.000 0.000
-3.287 5.693 0.000
0.000 0.000 10.256
La Mg Ti
1 14 1
Cartesian
0.000 0.000 0.000 La
-1.642 2.847 5.128 Mg
-1.596 2.874 0.000 Mg
0.000 1.908 2.667 Mg
0.000 1.908 7.589 Mg
-1.634 4.739 2.667 Mg
-1.634 4.739 7.589 Mg
1.596 2.874 0.000 Mg
0.000 5.638 0.000 Mg
0.000 5.692 5.128 Mg
1.642 2.847 5.128 Mg
1.634 4.739 2.667 Mg
1.634 4.739 7.589 Mg
3.287 1.898 2.520 Mg
3.287 1.898 7.736 Mg
0.000 0.000 5.128 Ti
```

---

[10]
A relaxed La2MgTl crystal, computed with PBE-GGA.

Summary:
ΔE_f (eV/atom): -0.2753
Calculated volume (A^3/atom): 31.45

Structure (POSCAR):
```
La2MgTl
1.0
0.000 3.977 3.977
3.977 0.000 3.977
3.977 3.977 0.000
La Mg Tl
2 1 1
Cartesian
1.988 1.988 1.988 La
5.965 5.965 5.965 La
0.000 0.000 0.000 Mg
3.977 3.977 3.977 Tl
```

---

[11]
A relaxed LaMgTl2 crystal, computed with PBE-GGA.

Summary:
ΔE_f (eV/atom): -0.3101
Calculated volume (A^3/atom): 28.17

Structure (POSCAR):
```
LaMgTl2
1.0
0.000 3.834 3.834
3.834 0.000 3.834
3.834 3.834 0.000
La Mg Tl
1 1 2
Cartesian
0.000 0.000 0.000 La
3.834 3.834 3.834 Mg
1.917 1.917 1.917 Tl
5.751 5.751 5.751 Tl
```

---

[12]
A relaxed LaTmMg2 crystal, computed with PBE-GGA.

Summary:
ΔE_f (eV/atom): -0.0843
Calculated volume (A^3/atom): 28.64

Structure (POSCAR):
```
LaTmMg2
1.0
0.000 3.855 3.855
3.855 0.000 3.855
3.855 3.855 0.000
La Tm Mg
1 1 2
Cartesian
0.000 0.000 0.000 La
3.855 3.855 3.855 Tm
1.927 1.927 1.927 Mg
5.782 5.782 5.782 Mg
```

---

[13]
A relaxed LaMg6W crystal, computed with PBE-GGA.

Summary:
ΔE_f (eV/atom): 0.3198
Calculated volume (A^3/atom): 22.93

Structure (POSCAR):
```
LaMg6W
1.0
-3.698 -0.652 3.332
1.884 -6.084 0.900
6.925 3.380 8.347
Mg W La
12 2 2
Cartesian
-0.678 0.245 3.077 Mg
5.415 -2.692 5.482 Mg
2.317 1.131 2.792 Mg
5.965 -1.686 10.073 Mg
5.066 1.218 9.643 Mg
4.428 0.492 5.011 Mg
2.546 -3.514 5.920 Mg
1.908 -4.240 1.288 Mg
6.721 -0.222 7.416 Mg
3.726 -1.107 7.701 Mg
1.561 -0.333 5.449 Mg
1.010 -1.340 0.859 Mg
2.909 1.996 7.402 W
0.389 -2.736 3.678 W
3.054 -2.011 2.996 La
5.575 2.721 6.719 La
```

---

[14]
A relaxed LaMg6W crystal, computed with PBE-GGA.

Summary:
ΔE_f (eV/atom): 0.3203
Calculated volume (A^3/atom): 22.78

Structure (POSCAR):
```
LaMg6W
1.0
5.152 0.000 0.000
0.000 6.013 0.000
0.000 0.000 11.765
W Mg La
2 12 2
Cartesian
2.576 0.000 7.823 W
2.576 3.006 1.941 W
0.000 4.613 6.862 Mg
2.576 1.508 4.974 Mg
0.000 3.006 9.905 Mg
2.576 4.515 10.856 Mg
0.000 1.400 6.862 Mg
2.576 1.498 10.856 Mg
2.576 4.504 4.974 Mg
0.000 3.006 3.608 Mg
0.000 0.000 9.491 Mg
0.000 1.607 0.980 Mg
0.000 4.406 0.980 Mg
0.000 0.000 4.022 Mg
2.576 0.000 2.051 La
2.576 3.006 7.934 La
```

---

[15]
A relaxed LaMg14W crystal, computed with PBE-GGA.

Summary:
Polymorph energy (0 for the lowest one) (meV/atom): 0
ΔE_f (eV/atom): 0.1527
Calculated volume (A^3/atom): 22.76

Structure (POSCAR):
```
LaMg14W
1.0
10.406 0.000 0.000
0.000 3.049 5.739
0.000 -3.049 5.739
La Mg W
1 14 1
Cartesian
0.000 0.000 0.000 La
0.000 -1.492 2.869 Mg
0.000 1.492 2.869 Mg
2.434 0.000 7.464 Mg
2.608 -1.466 4.696 Mg
2.608 1.466 4.696 Mg
2.731 0.000 1.853 Mg
5.203 0.000 5.695 Mg
5.203 -1.508 8.565 Mg
5.203 1.508 8.565 Mg
5.203 0.000 11.409 Mg
7.675 0.000 1.853 Mg
7.798 -1.466 4.696 Mg
7.798 1.466 4.696 Mg
7.972 0.000 7.464 Mg
0.000 0.000 5.655 W
```

---

[16]
A relaxed LaMg14W crystal, computed with PBE-GGA.

Summary:
Polymorph energy (0 for the lowest one) (meV/atom): 45
ΔE_f (eV/atom): 0.1973
Calculated volume (A^3/atom): 23.11

Structure (POSCAR):
```
LaMg14W
1.0
6.468 0.000 0.000
-3.234 5.602 0.000
0.000 0.000 10.205
La Mg W
1 14 1
Cartesian
0.000 0.000 0.000 La
-1.555 2.837 0.000 Mg
0.000 1.832 2.747 Mg
0.000 1.832 7.458 Mg
-1.648 4.686 2.747 Mg
-1.648 4.686 7.458 Mg
1.555 2.837 0.000 Mg
0.000 5.530 0.000 Mg
3.234 0.026 5.102 Mg
1.639 2.788 5.102 Mg
3.234 1.867 2.463 Mg
3.234 1.867 7.742 Mg
1.648 4.686 2.747 Mg
1.648 4.686 7.458 Mg
4.829 2.788 5.102 Mg
0.000 0.000 5.102 W
```

---

[17]
A relaxed LaYMg14 crystal, computed with PBE-GGA.

Summary:
Polymorph energy (0 for the lowest one) (meV/atom): 5
ΔE_f (eV/atom): 0.0126
Calculated volume (A^3/atom): 25.06

Structure (POSCAR):
```
LaYMg14
1.0
6.695 0.000 0.000
-3.348 5.798 0.000
0.000 0.000 10.326
La Y Mg
1 1 14
Cartesian
0.000 0.000 0.000 La
0.000 0.000 5.163 Y
-1.649 2.913 5.163 Mg
-1.642 2.918 0.000 Mg
0.000 1.983 2.605 Mg
0.000 1.983 7.722 Mg
-1.630 4.807 2.605 Mg
-1.630 4.807 7.722 Mg
1.642 2.918 0.000 Mg
0.000 5.761 0.000 Mg
1.649 2.913 5.163 Mg
0.000 5.770 5.163 Mg
1.630 4.807 2.605 Mg
1.630 4.807 7.722 Mg
3.348 1.933 2.567 Mg
3.348 1.933 7.760 Mg
```

---

[18]
A relaxed LaYMg4 crystal, computed with PBE-GGA.

Summary:
ΔE_f (eV/atom): -0.1028
Calculated volume (A^3/atom): 27.12

Structure (POSCAR):
```
LaYMg4
1.0
0.000 4.333 4.333
4.333 0.000 4.333
4.333 4.333 0.000
La Y Mg
1 1 4
Cartesian
0.000 0.000 0.000 La
2.166 2.166 2.166 Y
5.415 3.251 3.251 Mg
3.251 5.415 3.251 Mg
3.251 3.251 5.415 Mg
5.415 5.415 5.415 Mg
```

---

[19]
A relaxed LaYMg14 crystal, computed with PBE-GGA.

Summary:
Polymorph energy (0 for the lowest one) (meV/atom): 0
ΔE_f (eV/atom): 0.0078
Calculated volume (A^3/atom): 24.98

Structure (POSCAR):
```
LaYMg14
1.0
10.541 0.000 0.000
0.000 3.280 5.780
0.000 -3.280 5.780
La Y Mg
1 1 14
Cartesian
0.000 0.000 0.000 La
0.000 0.000 5.759 Y
0.000 -1.630 2.921 Mg
0.000 1.630 2.921 Mg
2.651 0.000 7.745 Mg
2.692 0.000 1.983 Mg
2.747 -1.621 4.812 Mg
2.747 1.621 4.812 Mg
5.270 0.000 0.024 Mg
5.270 -1.640 2.908 Mg
5.270 1.640 2.908 Mg
5.270 0.000 5.805 Mg
7.794 -1.621 4.812 Mg
7.794 1.621 4.812 Mg
7.849 0.000 1.983 Mg
7.890 0.000 7.745 Mg
```

---

[20]
A relaxed LaYMg2 crystal, computed with PBE-GGA.

Summary:
ΔE_f (eV/atom): -0.1009
Calculated volume (A^3/atom): 29.27

Structure (POSCAR):
```
LaYMg2
1.0
0.000 3.883 3.883
3.883 0.000 3.883
3.883 3.883 0.000
La Y Mg
1 1 2
Cartesian
0.000 0.000 0.000 La
3.883 3.883 3.883 Y
1.941 1.941 1.941 Mg
5.824 5.824 5.824 Mg
```